VASP calculation (PBE-GGA) on BaSrEuBiO6 after structural relaxation.

Calculated values
corrected total energy (MP2020 scheme): -7.2950 eV per atom
uncorrected energy: -6.88 eV per atom
formation energy: -2.5506 eV per atom

a b c (Å): 8.749 8.749 8.749
angles (deg): 90.00 90.00 90.00
Space group F-43m (No. 216)
Inequivalent atoms, fractional coordinates:
Ba: 0.000 0.000 0.000 [4 per cell]
Sr: 0.000 0.000 0.500 [4 per cell]
Eu: 0.250 0.250 0.250 [4 per cell]
Bi: 0.250 0.250 0.750 [4 per cell]
O: 0.008 0.250 0.750 [24 per cell]